(A)
{
  "formula": "Sr2CoCl2O2",
  "functional": "GGA+U",
  "state": "relaxed",
  "magmom_total_mub_per_fu": 0.01,
  "lattice": [[6.432, -7.712, 0.000], [6.432, 7.712, 0.000], [-2.517, 0.000, 5.219]],
  "species": ["Sr", "Sr", "Sr", "Sr", "Sr", "Sr", "Sr", "Sr", "Co", "Co", "Co", "Co", "Cl", "Cl", "Cl", "Cl", "Cl", "Cl", "Cl", "Cl", "O", "O", "O", "O", "O", "O", "O", "O"],
  "fractional_positions": [[0.106, 0.894, 0.000], [0.143, 0.356, 0.753], [0.356, 0.143, 0.753], [0.393, 0.607, 0.500], [0.607, 0.393, 0.500], [0.642, 0.855, 0.245], [0.855, 0.642, 0.245], [0.894, 0.106, 0.000], [0.250, 0.250, 0.253], [0.499, 0.499, 0.999], [0.750, 0.750, 0.748], [0.999, 0.999, 0.499], [0.070, 0.429, 0.251], [0.177, 0.822, 0.500], [0.320, 0.679, 0.000], [0.429, 0.070, 0.251], [0.570, 0.929, 0.748], [0.679, 0.320, 0.000], [0.822, 0.177, 0.500], [0.929, 0.570, 0.748], [0.123, 0.123, 0.379], [0.128, 0.128, 0.886], [0.374, 0.374, 0.625], [0.376, 0.376, 0.127], [0.623, 0.623, 0.872], [0.625, 0.625, 0.374], [0.871, 0.871, 0.113], [0.876, 0.876, 0.620]]
}

=====

(B)
{
  "formula": "Sr2CoCl2O2",
  "functional": "GGA+U",
  "state": "relaxed",
  "magmom_total_mub_per_fu": 0.00,
  "lattice": [[8.067, 0.000, 0.000], [2.016, 7.960, 0.000], [4.033, 2.210, 8.067]],
  "species": ["Sr", "Sr", "Sr", "Sr", "Sr", "Sr", "Sr", "Sr", "Co", "Co", "Co", "Co", "Cl", "Cl", "Cl", "Cl", "Cl", "Cl", "Cl", "Cl", "O", "O", "O", "O", "O", "O", "O", "O"],
  "fractional_positions": [[0.027, 0.287, 0.053], [0.222, 0.712, 0.447], [0.275, 0.287, 0.553], [0.473, 0.713, 0.947], [0.527, 0.287, 0.053], [0.725, 0.713, 0.447], [0.778, 0.288, 0.553], [0.973, 0.713, 0.947], [0.126, 0.500, 0.249], [0.375, 0.500, 0.750], [0.625, 0.500, 0.250], [0.874, 0.500, 0.751], [0.081, 0.857, 0.160], [0.169, 0.143, 0.339], [0.330, 0.859, 0.661], [0.420, 0.141, 0.840], [0.580, 0.859, 0.160], [0.670, 0.141, 0.339], [0.831, 0.857, 0.661], [0.919, 0.143, 0.840], [0.000, 0.500, 0.500], [0.121, 0.500, 0.751], [0.253, 0.500, 0.994], [0.372, 0.500, 0.250], [0.500, 0.500, 0.500], [0.628, 0.500, 0.750], [0.747, 0.500, 0.006], [0.879, 0.500, 0.249]]
}

=====

Quick look at relative energies in kJ/mol of atoms: (A) 1.5; (B) 0.0.

=====

(A)
{
  "formula": "V2Cu3PbCl2O8",
  "functional": "GGA+U",
  "state": "relaxed",
  "magmom_total_mub_per_fu": 1.00,
  "lattice": [[-5.087, 5.352, 4.855], [5.087, -5.352, 4.855], [5.087, 5.352, -4.855]],
  "species": ["V", "V", "V", "V", "Cu", "Cu", "Cu", "Cu", "Cu", "Cu", "Pb", "Pb", "Cl", "Cl", "Cl", "Cl", "O", "O", "O", "O", "O", "O", "O", "O", "O", "O", "O", "O", "O", "O", "O", "O"],
  "fractional_positions": [[0.062, 0.250, 0.812], [0.438, 0.250, 0.188], [0.562, 0.750, 0.812], [0.938, 0.750, 0.188], [0.000, 0.000, 0.000], [0.243, 0.200, 0.444], [0.257, 0.700, 0.957], [0.500, 0.500, 0.000], [0.743, 0.300, 0.043], [0.757, 0.800, 0.556], [0.250, 0.750, 0.500], [0.750, 0.250, 0.500], [0.082, 0.339, 0.420], [0.418, 0.839, 0.257], [0.582, 0.161, 0.743], [0.918, 0.661, 0.580], [0.038, 0.220, 0.992], [0.049, 0.445, 0.820], [0.125, 0.945, 0.396], [0.228, 0.046, 0.008], [0.272, 0.280, 0.818], [0.375, 0.771, 0.820], [0.451, 0.271, 0.396], [0.462, 0.454, 0.182], [0.538, 0.546, 0.818], [0.549, 0.729, 0.604], [0.625, 0.229, 0.180], [0.728, 0.720, 0.182], [0.772, 0.954, 0.992], [0.875, 0.055, 0.604], [0.951, 0.555, 0.180], [0.962, 0.780, 0.008]]
}

=====

(B)
{
  "formula": "V2Cu3PbCl2O8",
  "functional": "GGA+U",
  "state": "relaxed",
  "magmom_total_mub_per_fu": 2.99,
  "lattice": [[-4.555, 5.620, 4.702], [4.555, -5.620, 4.702], [4.555, 5.620, -4.702]],
  "species": ["V", "V", "V", "V", "Cu", "Cu", "Cu", "Cu", "Cu", "Cu", "Pb", "Pb", "Cl", "Cl", "Cl", "Cl", "O", "O", "O", "O", "O", "O", "O", "O", "O", "O", "O", "O", "O", "O", "O", "O"],
  "fractional_positions": [[0.047, 0.250, 0.797], [0.453, 0.250, 0.203], [0.547, 0.750, 0.797], [0.953, 0.750, 0.203], [0.000, 0.000, 0.000], [0.172, 0.749, 0.922], [0.328, 0.249, 0.577], [0.500, 0.500, 0.000], [0.672, 0.751, 0.423], [0.828, 0.251, 0.078], [0.250, 0.750, 0.500], [0.750, 0.250, 0.500], [0.087, 0.318, 0.405], [0.413, 0.818, 0.230], [0.587, 0.182, 0.770], [0.913, 0.682, 0.595], [0.025, 0.233, 0.991], [0.047, 0.459, 0.818], [0.141, 0.959, 0.411], [0.241, 0.033, 0.009], [0.259, 0.267, 0.792], [0.359, 0.771, 0.818], [0.453, 0.271, 0.411], [0.475, 0.467, 0.208], [0.525, 0.533, 0.792], [0.547, 0.729, 0.589], [0.641, 0.229, 0.182], [0.741, 0.733, 0.208], [0.759, 0.967, 0.991], [0.859, 0.041, 0.589], [0.953, 0.541, 0.182], [0.975, 0.767, 0.009]]
}

=====

Quick look at relative energies in kJ/mol of atoms: (A) 6.9; (B) 0.0.

=====

(A)
{
  "formula": "FeH8Cl2O4",
  "functional": "GGA+U",
  "state": "relaxed",
  "magmom_total_mub_per_fu": 4.00,
  "lattice": [[7.482, 0.000, 0.000], [-0.001, 8.514, 0.000], [-0.002, -4.255, 10.974]],
  "species": ["Fe", "Fe", "Fe", "Fe", "H", "H", "H", "H", "H", "H", "H", "H", "H", "H", "H", "H", "H", "H", "H", "H", "H", "H", "H", "H", "H", "H", "H", "H", "H", "H", "H", "H", "H", "H", "H", "H", "Cl", "Cl", "Cl", "Cl", "Cl", "Cl", "Cl", "Cl", "O", "O", "O", "O", "O", "O", "O", "O", "O", "O", "O", "O", "O", "O", "O", "O"],
  "fractional_positions": [[0.000, 0.250, 0.250], [0.000, 0.750, 0.750], [0.499, 0.250, 0.750], [0.501, 0.750, 0.250], [0.074, 0.044, 0.697], [0.074, 0.405, 0.701], [0.074, 0.544, 0.197], [0.075, 0.905, 0.201], [0.203, 0.257, 0.446], [0.203, 0.757, 0.946], [0.209, 0.440, 0.445], [0.209, 0.940, 0.945], [0.291, 0.439, 0.945], [0.291, 0.940, 0.445], [0.297, 0.256, 0.946], [0.297, 0.757, 0.446], [0.425, 0.544, 0.697], [0.426, 0.044, 0.197], [0.426, 0.404, 0.201], [0.426, 0.904, 0.701], [0.574, 0.096, 0.299], [0.574, 0.596, 0.799], [0.574, 0.956, 0.803], [0.575, 0.456, 0.303], [0.703, 0.243, 0.554], [0.703, 0.744, 0.054], [0.709, 0.060, 0.555], [0.709, 0.561, 0.055], [0.791, 0.060, 0.055], [0.791, 0.560, 0.555], [0.797, 0.243, 0.054], [0.797, 0.743, 0.554], [0.925, 0.095, 0.799], [0.926, 0.456, 0.803], [0.926, 0.595, 0.299], [0.926, 0.956, 0.303], [0.236, 0.172, 0.598], [0.236, 0.672, 0.098], [0.264, 0.172, 0.098], [0.264, 0.672, 0.598], [0.736, 0.328, 0.402], [0.736, 0.828, 0.902], [0.764, 0.328, 0.902], [0.764, 0.828, 0.402], [0.000, 0.000, 0.252], [0.000, 0.000, 0.748], [0.000, 0.500, 0.248], [0.000, 0.500, 0.752], [0.192, 0.322, 0.391], [0.192, 0.821, 0.891], [0.308, 0.321, 0.891], [0.308, 0.821, 0.391], [0.500, 0.001, 0.248], [0.500, 0.499, 0.252], [0.500, 0.501, 0.748], [0.500, 0.999, 0.752], [0.692, 0.179, 0.609], [0.692, 0.679, 0.109], [0.808, 0.179, 0.109], [0.808, 0.678, 0.609]]
}

=====

(B)
{
  "formula": "FeH8Cl2O4",
  "functional": "GGA+U",
  "state": "relaxed",
  "magmom_total_mub_per_fu": 4.00,
  "lattice": [[5.832, 0.000, 0.000], [0.000, 7.325, 0.000], [-3.852, 0.000, 8.338]],
  "species": ["Fe", "Fe", "H", "H", "H", "H", "H", "H", "H", "H", "H", "H", "H", "H", "H", "H", "H", "H", "Cl", "Cl", "Cl", "Cl", "O", "O", "O", "O", "O", "O", "O", "O"],
  "fractional_positions": [[0.000, 0.000, 0.000], [0.000, 0.500, 0.500], [0.084, 0.006, 0.346], [0.084, 0.494, 0.846], [0.101, 0.183, 0.264], [0.101, 0.317, 0.764], [0.394, 0.721, 0.682], [0.394, 0.779, 0.182], [0.405, 0.702, 0.514], [0.405, 0.798, 0.014], [0.595, 0.202, 0.986], [0.595, 0.298, 0.486], [0.606, 0.221, 0.818], [0.606, 0.279, 0.318], [0.899, 0.683, 0.236], [0.899, 0.817, 0.736], [0.916, 0.506, 0.154], [0.916, 0.994, 0.654], [0.325, 0.247, 0.577], [0.325, 0.253, 0.077], [0.675, 0.747, 0.923], [0.675, 0.753, 0.423], [0.021, 0.063, 0.241], [0.021, 0.437, 0.741], [0.286, 0.702, 0.566], [0.286, 0.798, 0.066], [0.714, 0.202, 0.934], [0.714, 0.298, 0.434], [0.979, 0.563, 0.259], [0.979, 0.937, 0.759]]
}

=====

Quick look at relative energies in kJ/mol of atoms: (A) 0.0; (B) 4.3.

=====

(A)
{
  "formula": "MgFe2W2Cl2O8",
  "functional": "GGA+U",
  "state": "relaxed",
  "magmom_total_mub_per_fu": 8.00,
  "lattice": [[5.061, -5.036, 0.000], [5.061, 5.036, 0.000], [-0.145, 0.000, 5.194]],
  "species": ["Mg", "Fe", "Fe", "W", "W", "Cl", "Cl", "O", "O", "O", "O", "O", "O", "O", "O"],
  "fractional_positions": [[0.000, 0.000, 0.000], [0.251, 0.251, 0.310], [0.749, 0.749, 0.690], [0.241, 0.759, 0.500], [0.759, 0.241, 0.500], [0.227, 0.227, 0.808], [0.773, 0.773, 0.192], [0.054, 0.784, 0.737], [0.216, 0.946, 0.263], [0.224, 0.535, 0.337], [0.465, 0.776, 0.663], [0.535, 0.224, 0.337], [0.776, 0.465, 0.663], [0.784, 0.054, 0.737], [0.946, 0.216, 0.263]]
}

=====

(B)
{
  "formula": "MgFe2W2Cl2O8",
  "functional": "GGA+U",
  "state": "relaxed",
  "magmom_total_mub_per_fu": 8.00,
  "lattice": [[6.942, 0.000, 0.000], [0.000, 6.942, 0.000], [0.000, 0.000, 5.692]],
  "species": ["Mg", "Fe", "Fe", "W", "W", "Cl", "Cl", "O", "O", "O", "O", "O", "O", "O", "O"],
  "fractional_positions": [[0.000, 0.000, 0.000], [0.000, 0.500, 0.246], [0.500, 0.000, 0.754], [0.000, 0.000, 0.500], [0.500, 0.500, 0.500], [0.000, 0.500, 0.816], [0.500, 0.000, 0.184], [0.000, 0.191, 0.281], [0.000, 0.809, 0.281], [0.191, 0.000, 0.719], [0.285, 0.500, 0.318], [0.500, 0.285, 0.682], [0.500, 0.715, 0.682], [0.715, 0.500, 0.318], [0.809, 0.000, 0.719]]
}

=====

Quick look at relative energies in kJ/mol of atoms: (A) 0.0; (B) 12.8.